No. 1
An optimized crystal structure of LuAlCu. Source: Materials Project, functional meta-GGA r2SCAN.

The space group is Imma (No. 74) and the conventional cell measures 5.3037, 5.3515 and 7.3260 Å, with angles of 90.00, 90.00 and 90.00 degrees. The distinct sites, in fractional coordinates, are Lu at (0.0000, 0.2500, 0.1225), Al at (0.0000, 0.0000, 0.5000) and Cu at (0.2500, 0.2500, 0.7500).

The final energy comes out at -0.6981 Ha/atom.

***

No. 2
An optimized crystal structure of LuAlCu2. Source: Materials Project, functional meta-GGA r2SCAN.

The space group is Fm-3m (No. 225) and the conventional cell measures 6.2940, 6.2940 and 6.2940 Å, with angles of 90.00, 90.00 and 90.00 degrees. The distinct sites, in fractional coordinates, are Lu at (0.0000, 0.0000, 0.0000), Al at (0.0000, 0.0000, 0.5000) and Cu at (0.2500, 0.2500, 0.2500).

The final energy comes out at -0.6263 Ha/atom.

***

No. 3
An optimized crystal structure of Mg2Al5Cu6. Source: Materials Project, functional meta-GGA r2SCAN.

The space group is Pm-3 (No. 200) and the conventional cell measures 8.1863, 8.1863 and 8.1863 Å, with angles of 90.00, 90.00 and 90.00 degrees. The distinct sites, in fractional coordinates, are Mg at (0.0000, 0.1792, 0.5000), Al at (0.0000, 0.0000, 0.0000), Al at (0.0000, 0.5000, 0.3331), Al at (0.2821, 0.2821, 0.2821), Cu at (0.0000, 0.2546, 0.1655) and Cu at (0.2725, 0.5000, 0.5000).

The final energy comes out at -0.3121 Ha/atom.

***

No. 4
An optimized crystal structure of MgAl2Cu. Source: Materials Project, functional meta-GGA r2SCAN.

The space group is Cmcm (No. 63) and the conventional cell measures 3.9832, 9.2131 and 7.0495 Å, with angles of 90.00, 90.00 and 90.00 degrees. The distinct sites, in fractional coordinates, are Mg at (0.0000, 0.0645, 0.2500), Al at (0.0000, 0.3542, 0.0557) and Cu at (0.0000, 0.2200, 0.7500).

The final energy comes out at -0.2688 Ha/atom.

***

No. 5
An optimized crystal structure of NdAl2Cu9. Source: Materials Project, functional meta-GGA r2SCAN.

The space group is I4_1/amd (No. 141, origin choice 2) and the conventional cell measures 10.0634, 10.0634 and 6.5734 Å, with angles of 90.00, 90.00 and 90.00 degrees. The distinct sites, in fractional coordinates, are Nd at (0.0000, 0.2500, 0.3750), Al at (0.0000, 0.0000, 0.0000), Cu at (0.0000, 0.2500, 0.8750) and Cu at (0.1235, 0.0418, 0.6832).

The final energy comes out at -0.4377 Ha/atom.

***

No. 6
An optimized crystal structure of Al2CuO4. Source: Materials Project, functional meta-GGA r2SCAN.

The space group is Fd-3m (No. 227, origin choice 2) and the conventional cell measures 8.0622, 8.0622 and 8.0622 Å, with angles of 90.00, 90.00 and 90.00 degrees. The distinct sites, in fractional coordinates, are Al at (0.0000, 0.0000, 0.0000), Cu at (0.1250, 0.1250, 0.6250) and O at (0.0145, 0.0145, 0.2355).

The final energy comes out at -0.3464 Ha/atom.

***

No. 7
An optimized crystal structure of Al2CuPd. Source: Materials Project, functional meta-GGA r2SCAN.

The space group is Fm-3m (No. 225) and the conventional cell measures 6.0124, 6.0124 and 6.0124 Å, with angles of 90.00, 90.00 and 90.00 degrees. The distinct sites, in fractional coordinates, are Al at (0.2500, 0.2500, 0.2500), Cu at (0.0000, 0.0000, 0.0000) and Pd at (0.0000, 0.0000, 0.5000).

The final energy comes out at -0.4552 Ha/atom.

***

No. 8
An optimized crystal structure of PrAlCu. Source: Materials Project, functional meta-GGA r2SCAN.

The space group is P-62m (No. 189) and the conventional cell measures 7.2774, 7.2774 and 4.0771 Å, with angles of 90.00, 90.00 and 120.00 degrees. The distinct sites, in fractional coordinates, are Pr at (0.0000, 0.5801, 0.0000), Al at (0.0000, 0.2237, 0.5000), Cu at (0.0000, 0.0000, 0.0000) and Cu at (0.3333, 0.6667, 0.5000).

The final energy comes out at -0.5896 Ha/atom.

***

Number 1: formation energy from the elements -442 meV/atom. Number 2: formation energy from the elements -415 meV/atom. Number 3: formation energy from the elements -255 meV/atom. Number 4: formation energy from the elements -194 meV/atom. Number 5: formation energy from the elements -203 meV/atom. Number 6: formation energy from the elements -2541 meV/atom. Number 7: formation energy from the elements -567 meV/atom. Number 8: formation energy from the elements -383 meV/atom.